Record 1
A plane-wave DFT calculation with PBE was carried out for an optimized crystal structure of MgFeAgS2.

Unit cell a=3.343 b=3.343 c=9.508 alpha=100.30 beta=100.30 gamma=59.82
Fractional coordinates of all 5 atoms:
Mg (0.000, 0.000, 0.000)
Fe (0.891, 0.891, 0.675)
Ag (0.093, 0.093, 0.283)
S (0.184, 0.184, 0.557)
S (0.611, 0.611, 0.831)

Computed properties:
The formation energy comes out at -0.476 eV/atom. For the raw total energy, the calculation gives -4.510 eV per atom.

Record 2
A plane-wave DFT calculation with PBE was carried out for an optimized crystal structure of MgFeAgS2.

Unit cell a=8.637 b=8.637 c=8.637 alpha=22.73 beta=22.73 gamma=22.73
Fractional coordinates of all 5 atoms:
Mg (0.000, 0.000, 0.000)
Fe (0.457, 0.457, 0.457)
Ag (0.584, 0.584, 0.584)
S (0.164, 0.164, 0.164)
S (0.733, 0.733, 0.733)

Computed properties:
The formation energy comes out at -0.489 eV/atom. For the raw total energy, the calculation gives -4.523 eV per atom.

Number 1: E above lowest polymorph 60.1 meV per atom. Number 2: E above lowest polymorph 46.6 meV per atom.